1.
## Os2C3N6 (PBE-GGA)

Data for crystalline Os2C3N6 at its relaxed geometry.

Cell: 8.673 8.673 5.098 Å, 92.08 92.08 22.15°
Fractional coordinates of all 11 atoms:
Os  0.180  0.180  0.416
Os  0.820  0.820  0.584
C  0.000  0.000  0.500
C  0.319  0.319  0.072
C  0.681  0.681  0.928
N  0.071  0.071  0.480
N  0.301  0.301  0.309
N  0.331  0.331  0.836
N  0.669  0.669  0.164
N  0.699  0.699  0.691
N  0.929  0.929  0.520

Properties
For the formation enthalpy at 0 K, the calculation gives 0.37 eV/atom. Its space group is C2/m, No. 12. The energy comes out at -8.54 eV per atom. The energy above the lowest structure with this stoichiometry comes out at 0.097 eV per atom.


2.
## Pb4CN4 (PBE-GGA)

Data for crystalline Pb4CN4 at its relaxed geometry.

Cell: 11.343 3.531 18.014 Å, 90.00 90.00 90.00°
Fractional coordinates of all 36 atoms:
Pb  0.066  0.250  0.078
Pb  0.075  0.750  0.326
Pb  0.133  0.250  0.535
Pb  0.213  0.750  0.703
Pb  0.287  0.250  0.203
Pb  0.367  0.750  0.035
Pb  0.425  0.250  0.826
Pb  0.434  0.750  0.578
Pb  0.566  0.250  0.422
Pb  0.575  0.750  0.174
Pb  0.633  0.250  0.965
Pb  0.713  0.750  0.797
Pb  0.787  0.250  0.297
Pb  0.867  0.750  0.465
Pb  0.925  0.250  0.674
Pb  0.934  0.750  0.922
C  0.175  0.250  0.896
C  0.325  0.750  0.396
C  0.675  0.250  0.604
C  0.825  0.750  0.104
N  0.045  0.750  0.627
N  0.074  0.250  0.869
N  0.208  0.750  0.122
N  0.224  0.750  0.423
N  0.276  0.250  0.923
N  0.292  0.250  0.622
N  0.426  0.750  0.369
N  0.455  0.250  0.127
N  0.545  0.750  0.873
N  0.574  0.250  0.631
N  0.708  0.750  0.378
N  0.724  0.750  0.077
N  0.776  0.250  0.577
N  0.792  0.250  0.878
N  0.926  0.750  0.131
N  0.955  0.250  0.373

Properties
For the formation enthalpy at 0 K, the calculation gives 0.26 eV/atom. Its space group is Pnma, No. 62. The energy comes out at -5.96 eV per atom.


3.
## PbCN2 (PBE-GGA)

Data for crystalline PbCN2 at its relaxed geometry.

Cell: 5.601 12.106 3.905 Å, 90.00 90.00 90.00°
Fractional coordinates of all 16 atoms:
Pb  0.113  0.134  0.000
Pb  0.387  0.634  0.500
Pb  0.613  0.366  0.000
Pb  0.887  0.866  0.500
C  0.121  0.399  0.468
C  0.379  0.899  0.968
C  0.621  0.101  0.468
C  0.879  0.601  0.968
N  0.076  0.645  0.975
N  0.174  0.939  0.965
N  0.326  0.439  0.465
N  0.424  0.145  0.475
N  0.576  0.855  0.975
N  0.674  0.561  0.965
N  0.826  0.061  0.465
N  0.924  0.355  0.475

Properties
For the formation enthalpy at 0 K, the calculation gives -0.06 eV/atom. Its space group is Pna2_1, No. 33. The energy comes out at -7.28 eV per atom. The energy above the lowest structure with this stoichiometry comes out at 0.003 eV per atom.


4.
## PbC8N6 (PBE-GGA)

Data for crystalline PbC8N6 at its relaxed geometry.

Cell: 8.486 5.817 11.528 Å, 90.00 90.00 90.00°
Fractional coordinates of all 30 atoms:
Pb  0.000  0.000  0.000
Pb  0.500  0.000  0.500
C  0.000  0.406  0.261
C  0.000  0.410  0.661
C  0.000  0.590  0.339
C  0.000  0.594  0.739
C  0.142  0.317  0.621
C  0.142  0.683  0.379
C  0.358  0.317  0.879
C  0.358  0.683  0.121
C  0.500  0.406  0.239
C  0.500  0.410  0.839
C  0.500  0.590  0.161
C  0.500  0.594  0.761
C  0.642  0.317  0.879
C  0.642  0.683  0.121
C  0.858  0.317  0.621
C  0.858  0.683  0.379
N  0.000  0.251  0.196
N  0.000  0.749  0.804
N  0.239  0.239  0.913
N  0.239  0.761  0.087
N  0.261  0.239  0.587
N  0.261  0.761  0.413
N  0.500  0.251  0.304
N  0.500  0.749  0.696
N  0.739  0.239  0.587
N  0.739  0.761  0.413
N  0.761  0.239  0.913
N  0.761  0.761  0.087

Properties
For the formation enthalpy at 0 K, the calculation gives 0.28 eV/atom. Its space group is Pmna, No. 53. The energy comes out at -8.08 eV per atom.


5.
## PbC7N10 (PBE-GGA)

Data for crystalline PbC7N10 at its relaxed geometry.

Cell: 5.873 5.706 8.183 Å, 90.00 106.42 90.00°
Fractional coordinates of all 36 atoms:
Pb  0.000  0.109  0.000
Pb  0.000  0.891  0.500
C  0.147  0.391  0.399
C  0.147  0.609  0.899
C  0.334  0.379  0.712
C  0.334  0.621  0.212
C  0.397  0.029  0.346
C  0.397  0.971  0.846
C  0.520  0.377  0.012
C  0.520  0.623  0.512
C  0.576  0.025  0.653
C  0.576  0.975  0.153
C  0.700  0.368  0.315
C  0.700  0.632  0.815
C  0.877  0.371  0.634
C  0.877  0.629  0.134
N  0.117  0.412  0.765
N  0.117  0.588  0.265
N  0.193  0.168  0.339
N  0.193  0.832  0.839
N  0.322  0.495  0.551
N  0.322  0.505  0.051
N  0.357  0.127  0.694
N  0.357  0.873  0.194
N  0.479  0.117  0.001
N  0.479  0.883  0.501
N  0.533  0.461  0.848
N  0.533  0.539  0.348
N  0.608  0.128  0.303
N  0.608  0.872  0.803
N  0.739  0.414  0.148
N  0.739  0.586  0.648
N  0.784  0.156  0.660
N  0.784  0.844  0.160
N  0.919  0.397  0.450
N  0.919  0.603  0.950

Properties
For the formation enthalpy at 0 K, the calculation gives 0.34 eV/atom. Its space group is Pc, No. 7. The energy comes out at -7.88 eV per atom.


6.
## Pb11C2N10 (PBE-GGA)

Data for crystalline Pb11C2N10 at its relaxed geometry.

Cell: 16.232 16.232 3.606 Å, 90.00 90.00 90.00°
Fractional coordinates of all 46 atoms:
Pb  0.000  0.000  0.000
Pb  0.011  0.206  0.500
Pb  0.127  0.634  0.500
Pb  0.134  0.373  0.000
Pb  0.167  0.833  0.000
Pb  0.206  0.011  0.500
Pb  0.294  0.511  0.000
Pb  0.333  0.333  0.500
Pb  0.366  0.873  0.500
Pb  0.373  0.134  0.000
Pb  0.489  0.706  0.000
Pb  0.500  0.500  0.500
Pb  0.511  0.294  0.000
Pb  0.627  0.866  0.000
Pb  0.634  0.127  0.500
Pb  0.667  0.667  0.500
Pb  0.706  0.489  0.000
Pb  0.794  0.989  0.500
Pb  0.833  0.167  0.000
Pb  0.866  0.627  0.000
Pb  0.873  0.366  0.500
Pb  0.989  0.794  0.500
C  0.174  0.174  0.000
C  0.326  0.674  0.500
C  0.674  0.326  0.500
C  0.826  0.826  0.000
N  0.073  0.712  0.000
N  0.088  0.912  0.500
N  0.120  0.120  0.000
N  0.212  0.427  0.500
N  0.228  0.228  0.000
N  0.272  0.728  0.500
N  0.288  0.927  0.000
N  0.380  0.620  0.500
N  0.412  0.412  0.000
N  0.427  0.212  0.500
N  0.573  0.788  0.500
N  0.588  0.588  0.000
N  0.620  0.380  0.500
N  0.712  0.073  0.000
N  0.728  0.272  0.500
N  0.772  0.772  0.000
N  0.788  0.573  0.500
N  0.880  0.880  0.000
N  0.912  0.088  0.500
N  0.927  0.288  0.000

Properties
For the formation enthalpy at 0 K, the calculation gives 0.38 eV/atom. Its space group is P4_2/mnm, No. 136. The energy comes out at -5.67 eV per atom.


7.
## PbCN2 (PBE-GGA)

Data for crystalline PbCN2 at its relaxed geometry.

Cell: 5.596 3.925 12.421 Å, 90.00 90.00 90.00°
Fractional coordinates of all 16 atoms:
Pb  0.117  0.250  0.129
Pb  0.383  0.750  0.629
Pb  0.617  0.250  0.371
Pb  0.883  0.750  0.871
C  0.119  0.750  0.400
C  0.381  0.250  0.900
C  0.619  0.750  0.100
C  0.881  0.250  0.600
N  0.080  0.250  0.641
N  0.174  0.250  0.938
N  0.326  0.750  0.438
N  0.420  0.750  0.141
N  0.580  0.250  0.859
N  0.674  0.250  0.562
N  0.826  0.750  0.062
N  0.920  0.750  0.359

Properties
For the formation enthalpy at 0 K, the calculation gives -0.06 eV/atom. Its space group is Pnma, No. 62. The energy comes out at -7.29 eV per atom. The energy above the lowest structure with this stoichiometry comes out at 0.000 eV per atom.


8.
## PbC4N6 (PBE-GGA)

Data for crystalline PbC4N6 at its relaxed geometry.

Cell: 13.686 4.051 12.171 Å, 90.00 90.00 90.00°
Fractional coordinates of all 44 atoms:
Pb  0.216  0.250  0.120
Pb  0.284  0.750  0.620
Pb  0.716  0.250  0.380
Pb  0.784  0.750  0.880
C  0.001  0.750  0.646
C  0.018  0.250  0.891
C  0.155  0.250  0.424
C  0.174  0.250  0.823
C  0.326  0.750  0.323
C  0.345  0.750  0.924
C  0.482  0.750  0.391
C  0.499  0.250  0.146
C  0.501  0.750  0.854
C  0.518  0.250  0.609
C  0.655  0.250  0.076
C  0.674  0.250  0.677
C  0.826  0.750  0.177
C  0.845  0.750  0.576
C  0.982  0.750  0.109
C  0.999  0.250  0.354
N  0.068  0.750  0.112
N  0.087  0.750  0.643
N  0.094  0.250  0.343
N  0.112  0.250  0.903
N  0.217  0.250  0.492
N  0.237  0.250  0.756
N  0.263  0.750  0.256
N  0.283  0.750  0.992
N  0.388  0.750  0.403
N  0.406  0.750  0.843
N  0.413  0.250  0.143
N  0.432  0.250  0.612
N  0.568  0.750  0.388
N  0.587  0.750  0.857
N  0.594  0.250  0.157
N  0.612  0.250  0.597
N  0.717  0.250  0.008
N  0.737  0.250  0.744
N  0.763  0.750  0.244
N  0.783  0.750  0.508
N  0.888  0.750  0.097
N  0.906  0.750  0.657
N  0.913  0.250  0.357
N  0.932  0.250  0.888

Properties
For the formation enthalpy at 0 K, the calculation gives 0.11 eV/atom. Its space group is Pnma, No. 62. The energy comes out at -7.93 eV per atom.


9.
## PdC2N2 (PBE-GGA)

Data for crystalline PdC2N2 at its relaxed geometry.

Cell: 6.635 6.635 3.572 Å, 90.00 90.00 90.00°
Fractional coordinates of all 10 atoms:
Pd  0.000  0.000  0.000
Pd  0.500  0.500  0.500
C  0.211  0.211  0.000
C  0.289  0.711  0.500
C  0.711  0.289  0.500
C  0.789  0.789  0.000
N  0.163  0.837  0.500
N  0.337  0.337  0.000
N  0.663  0.663  0.000
N  0.837  0.163  0.500

Properties
For the formation enthalpy at 0 K, the calculation gives 0.53 eV/atom. Its space group is P4_2/mnm, No. 136. The energy comes out at -7.39 eV per atom. The energy above the lowest structure with this stoichiometry comes out at 0.310 eV per atom.


10.
## PdC2N2 (PBE-GGA)

Data for crystalline PdC2N2 at its relaxed geometry.

Cell: 5.132 5.132 16.148 Å, 90.00 90.00 90.83°
Fractional coordinates of all 20 atoms:
Pd  0.131  0.869  0.876
Pd  0.369  0.631  0.376
Pd  0.631  0.369  0.624
Pd  0.869  0.131  0.124
C  0.009  0.363  0.624
C  0.137  0.491  0.876
C  0.363  0.009  0.376
C  0.491  0.137  0.124
C  0.509  0.863  0.876
C  0.637  0.991  0.624
C  0.863  0.509  0.124
C  0.991  0.637  0.376
N  0.137  0.264  0.876
N  0.236  0.363  0.624
N  0.264  0.137  0.124
N  0.363  0.236  0.376
N  0.637  0.764  0.624
N  0.736  0.863  0.876
N  0.764  0.637  0.376
N  0.863  0.736  0.124

Properties
For the formation enthalpy at 0 K, the calculation gives 0.22 eV/atom. Its space group is Cmce, No. 64. The energy comes out at -7.70 eV per atom. The energy above the lowest structure with this stoichiometry comes out at 0.000 eV per atom.


11.
## Tl2PdC4N4 (PBE-GGA)

Data for crystalline Tl2PdC4N4 at its relaxed geometry.

Cell: 6.455 7.894 10.237 Å, 90.00 112.46 90.00°
Fractional coordinates of all 22 atoms:
Tl  0.193  0.147  0.417
Tl  0.193  0.353  0.917
Tl  0.807  0.647  0.083
Tl  0.807  0.853  0.583
Pd  0.500  0.000  0.000
Pd  0.500  0.500  0.500
C  0.240  0.658  0.440
C  0.240  0.842  0.940
C  0.491  0.002  0.803
C  0.491  0.498  0.303
C  0.509  0.502  0.697
C  0.509  0.998  0.197
C  0.760  0.158  0.060
C  0.760  0.342  0.560
N  0.088  0.747  0.903
N  0.088  0.753  0.403
N  0.485  0.003  0.687
N  0.485  0.497  0.187
N  0.515  0.503  0.813
N  0.515  0.997  0.313
N  0.912  0.247  0.597
N  0.912  0.253  0.097

Properties
For the formation enthalpy at 0 K, the calculation gives 0.12 eV/atom. Its space group is P2_1/c, No. 14. The energy comes out at -7.03 eV per atom.


12.
## PrThCN (PBE-GGA)

Data for crystalline PrThCN at its relaxed geometry.

Cell: 6.469 6.469 6.469 Å, 33.72 33.72 33.72°
Fractional coordinates of all 4 atoms:
Pr  0.000  0.000  0.000
Th  0.499  0.499  0.499
C  0.245  0.245  0.245
N  0.756  0.756  0.756

Properties
For the formation enthalpy at 0 K, the calculation gives -0.86 eV/atom. Its space group is R3m, No. 160. The energy comes out at -8.21 eV per atom.


13.
## PtC8N6 (PBE-GGA)

Data for crystalline PtC8N6 at its relaxed geometry.

Cell: 7.085 5.209 14.602 Å, 90.00 90.00 90.00°
Fractional coordinates of all 30 atoms:
Pt  0.000  0.000  0.000
Pt  0.500  0.000  0.500
C  0.000  0.372  0.364
C  0.000  0.440  0.706
C  0.000  0.560  0.294
C  0.000  0.628  0.636
C  0.167  0.272  0.400
C  0.167  0.728  0.600
C  0.333  0.272  0.100
C  0.333  0.728  0.900
C  0.500  0.372  0.136
C  0.500  0.440  0.794
C  0.500  0.560  0.206
C  0.500  0.628  0.864
C  0.667  0.272  0.100
C  0.667  0.728  0.900
C  0.833  0.272  0.400
C  0.833  0.728  0.600
N  0.000  0.285  0.764
N  0.000  0.715  0.236
N  0.200  0.180  0.066
N  0.200  0.820  0.934
N  0.300  0.180  0.434
N  0.300  0.820  0.566
N  0.500  0.285  0.736
N  0.500  0.715  0.264
N  0.700  0.180  0.434
N  0.700  0.820  0.566
N  0.800  0.180  0.066
N  0.800  0.820  0.934

Properties
For the formation enthalpy at 0 K, the calculation gives 0.36 eV/atom. Its space group is Pmna, No. 53. The energy comes out at -8.16 eV per atom. The energy above the lowest structure with this stoichiometry comes out at 0.000 eV per atom.